Zn3BPO7 | PBE | optimized geometry

The structure in CIF format:
```
data_Zn3BPO7
_chemical_formula_sum 'Zn18 B6 P6 O42'
_symmetry_space_group_name_H-M 'P 1'
_symmetry_Int_Tables_number 1
_cell_length_a 8.5446
_cell_length_b 8.5446
_cell_length_c 13.2013
_cell_angle_alpha 90.00
_cell_angle_beta 90.00
_cell_angle_gamma 120.00
loop_
_symmetry_equiv_pos_as_xyz
'x,y,z'
loop_
_atom_site_label
_atom_site_fract_x
_atom_site_fract_y
_atom_site_fract_z
_atom_site_occupancy
Zn1 0.0043 0.6552 0.1147 1
Zn2 0.0043 0.6552 0.8853 1
Zn3 0.3264 0.3058 0.3822 1
Zn4 0.3264 0.3058 0.6178 1
Zn5 0.3392 0.0022 0.2548 1
Zn6 0.3392 0.0022 0.7452 1
Zn7 0.3448 0.3490 0.1147 1
Zn8 0.3448 0.3490 0.8853 1
Zn9 0.6510 0.9957 0.1147 1
Zn10 0.6510 0.9957 0.8853 1
Zn11 0.6630 0.6608 0.2548 1
Zn12 0.6630 0.6608 0.7452 1
Zn13 0.6942 0.0206 0.3822 1
Zn14 0.6942 0.0206 0.6178 1
Zn15 0.9794 0.6736 0.3822 1
Zn16 0.9794 0.6736 0.6178 1
Zn17 0.9978 0.3370 0.2548 1
Zn18 0.9978 0.3370 0.7452 1
B1 0.0000 0.0000 0.2835 1
B2 0.0000 0.0000 0.7165 1
B3 0.3333 0.6667 0.1950 1
B4 0.3333 0.6667 0.8050 1
B5 0.6667 0.3333 0.2751 1
B6 0.6667 0.3333 0.7249 1
P1 0.0218 0.3696 0.5000 1
P2 0.3227 0.0200 0.0000 1
P3 0.3478 0.9782 0.5000 1
P4 0.6304 0.6522 0.5000 1
P5 0.6973 0.6773 0.0000 1
P6 0.9800 0.3027 0.0000 1
O1 0.0481 0.4808 0.4017 1
O2 0.0481 0.4808 0.5983 1
O3 0.0772 0.8898 0.2845 1
O4 0.0772 0.8898 0.7155 1
O5 0.1102 0.1874 0.2845 1
O6 0.1102 0.1874 0.7155 1
O7 0.1442 0.8372 0.5000 1
O8 0.1467 0.5819 0.1961 1
O9 0.1467 0.5819 0.8039 1
O10 0.1628 0.3070 0.5000 1
O11 0.1863 0.8135 0.0000 1
O12 0.1865 0.3728 0.0000 1
O13 0.2872 0.0990 0.0982 1
O14 0.2872 0.0990 0.9018 1
O15 0.3779 0.1740 0.5000 1
O16 0.4181 0.5648 0.1961 1
O17 0.4181 0.5648 0.8039 1
O18 0.4327 0.9519 0.4017 1
O19 0.4327 0.9519 0.5983 1
O20 0.4352 0.8533 0.1961 1
O21 0.4352 0.8533 0.8039 1
O22 0.4817 0.2674 0.2725 1
O23 0.4817 0.2674 0.7275 1
O24 0.5192 0.5673 0.4017 1
O25 0.5192 0.5673 0.5983 1
O26 0.5231 0.0648 0.0000 1
O27 0.5417 0.4769 0.0000 1
O28 0.6272 0.8137 0.0000 1
O29 0.6930 0.8558 0.5000 1
O30 0.7326 0.2144 0.2725 1
O31 0.7326 0.2144 0.7275 1
O32 0.7856 0.5183 0.2725 1
O33 0.7856 0.5183 0.7275 1
O34 0.7961 0.6221 0.5000 1
O35 0.8117 0.7128 0.0982 1
O36 0.8117 0.7128 0.9018 1
O37 0.8126 0.9228 0.2845 1
O38 0.8126 0.9228 0.7155 1
O39 0.8260 0.2039 0.5000 1
O40 0.9010 0.1883 0.0982 1
O41 0.9010 0.1883 0.9018 1
O42 0.9352 0.4583 0.0000 1
```

## Properties
Electronic total energy: -6.13 eV/atom
Total moment: 0.000 μB per formula unit